! Na6V2PC4O16 (PBE+U, optimized geometry); values from VASP
&SYSTEM
  ibrav = 0, nat = 58, ntyp = 5
/
ATOMIC_SPECIES
O 16.00 O.upf
V 50.94 V.upf
P 30.97 P.upf
Na 22.99 Na.upf
C 12.01 C.upf
CELL_PARAMETERS angstrom
4.913 -0.159 8.670
-3.457 -5.460 7.588
4.849 -8.235 2.830
ATOMIC_POSITIONS angstrom
O 2.957 -1.824 8.807
V -0.941 -4.462 6.180
O 0.075 -7.259 12.223
O 4.792 -3.734 11.513
O 5.567 -11.613 13.819
O 3.556 -7.814 10.766
O 2.051 -4.557 13.992
P 3.153 -6.927 9.544
O 3.706 -9.177 4.933
O 2.315 -5.706 10.041
O 4.176 -10.711 8.363
Na 0.433 -6.324 8.739
O 6.360 -5.345 11.536
O 5.818 -2.536 9.056
Na 4.031 -9.853 17.079
C 5.280 -4.821 12.029
C 5.734 -12.599 17.358
Na 2.428 -9.712 9.903
O -1.760 -5.349 9.517
C 2.642 -7.349 15.554
O 4.674 -5.396 13.022
O 5.521 -9.322 7.217
C 2.148 -4.719 6.502
C 5.239 -9.970 8.306
Na 5.453 -7.606 13.956
O 4.979 -6.513 4.736
Na 7.449 -10.995 15.121
O 0.515 -9.351 11.526
O 6.007 -9.855 9.346
O 8.211 -7.945 9.498
Na 3.877 -4.142 9.184
O 5.583 -9.545 15.314
O 3.128 -3.913 6.774
Na 5.873 -7.531 10.349
O 7.367 -7.968 12.334
O 4.325 -9.504 13.094
O 3.440 -10.902 15.037
O -1.208 -6.448 6.826
Na 5.427 -10.929 11.553
O 4.441 -6.416 8.823
P 4.729 -10.391 14.316
O 0.981 -4.527 7.038
O -0.738 -7.983 10.256
Na 3.851 -7.466 6.781
Na 4.004 -13.176 14.675
Na 2.009 -9.787 13.511
C 2.601 -12.498 11.830
V 3.245 -1.811 6.721
O 0.628 -11.427 9.476
C 7.938 -9.118 12.521
V 0.788 -1.732 2.386
C -0.057 -8.200 11.339
V 3.213 -5.849 3.801
O 2.298 -7.773 8.546
O 1.874 -7.463 14.514
O 3.207 -11.922 10.837
Na 2.454 -6.389 12.307
O 2.340 -5.732 5.713
! E_form: -211.7 kJ per mole of atoms
! Magnetization: 5.0 μB per formula unit
! Crystal system: cubic
! E: -393.65 eV for the cell shown